44
Lattice="5.6832 0.0000 0.0000 0.0000 11.2935 0.0000 0.0000 0.0000 11.9404" Properties=species:S:1:pos:R:3 comment="Ca3WCl2O5, optimized geometry, DFT PBE+U" e_form_kj_per_mol_fu=-2986 e_tot_ev_per_atom=-6.41 pbc="T T T"
Ca 4.2624 9.4276 10.2736
Ca 1.4208 1.8659 1.6668
Ca 4.2624 7.5126 4.3034
Ca 4.2624 3.7262 9.9441
Ca 1.4208 10.3875 4.0704
Ca 1.4208 9.3730 7.9664
Ca 4.2624 4.7408 1.8998
Ca 1.4208 6.5527 10.0406
Ca 1.4208 3.7809 7.6370
Ca 4.2624 0.9060 7.8700
Ca 4.2624 1.9205 3.9740
Ca 1.4208 7.5673 1.9962
W 1.4208 4.6870 3.6733
W 1.4208 0.9598 9.6435
W 4.2624 10.3337 2.2969
W 4.2624 6.6065 8.2671
Cl 1.4208 8.0806 5.5741
Cl 4.2624 3.2129 6.3663
Cl 1.4208 0.9479 6.2433
Cl 1.4208 4.6988 0.2731
Cl 4.2624 2.4339 0.3961
Cl 4.2624 10.3456 5.6971
Cl 1.4208 8.8596 11.5443
Cl 4.2624 6.5947 11.6673
O 4.2624 6.6728 6.4927
O 1.4208 1.0261 11.4179
O 5.5866 0.3694 2.8193
O 2.9382 0.3694 2.8193
O 2.7188 3.3865 3.0836
O 1.4208 4.6207 5.4477
O 2.9382 5.2773 8.7895
O 2.7450 10.9241 9.1211
O 4.2624 10.2674 0.5225
O 2.7188 2.2603 9.0538
O 0.0966 10.9241 9.1211
O 2.9645 7.9070 8.8568
O 0.1229 3.3865 3.0836
O 2.9645 9.0332 2.8866
O 0.1229 2.2603 9.0538
O 5.5604 7.9070 8.8568
O 5.5866 5.2773 8.7895
O 5.5604 9.0332 2.8866
O 0.0966 6.0162 3.1509
O 2.7450 6.0162 3.1509


40
Lattice="-2.9633 5.1327 4.1907 -2.9633 -5.1328 4.1908 5.9271 0.0000 4.1911" Properties=species:S:1:pos:R:3 comment="CaCo4Cu3O12, optimized geometry, DFT PBE+U" e_form_kj_per_mol_fu=-2565 e_tot_ev_per_atom=-5.70 pbc="T T T"
Ca 2.9637 -5.1326 8.3819
Ca 0.0002 -0.0002 6.2864
Co 0.0001 0.0000 3.1432
Co 0.0003 -0.0001 9.4295
Co 1.4820 -2.5664 7.3341
Co -1.4815 2.5663 5.2385
Co -1.4816 -2.5664 5.2386
Co 1.4820 2.5663 7.3341
Co -2.9632 -0.0001 7.3339
Co 2.9637 0.0000 5.2387
Cu -1.4814 2.5663 8.3817
Cu 0.0002 5.1327 6.2863
Cu -2.9633 0.0000 4.1908
Cu -4.4449 2.5663 6.2861
Cu 1.4818 2.5663 4.1909
Cu -1.4817 2.5664 2.0954
O -1.9485 1.5871 6.8517
O 1.0150 -3.5458 8.9475
O -1.0146 3.5456 3.6254
O 1.9490 -1.5870 5.7208
O -0.1162 -1.5870 4.2603
O 2.8473 3.5457 6.3559
O 3.3636 -2.6517 7.8164
O 0.4000 2.4811 5.7208
O -0.6146 -4.2386 4.7566
O 2.3490 0.8943 6.8521
O 1.3165 -0.8942 8.3121
O -1.6470 4.2384 6.2164
O -1.4325 -0.6927 2.0259
O -1.4323 -0.6927 8.3122
O -2.3485 -0.8943 5.7206
O 0.6151 4.2384 7.8161
O 0.1165 1.5870 2.0260
O 0.1167 1.5870 8.3123
O -0.3996 -2.4811 6.8518
O -3.3630 2.6516 4.7563
O 1.6475 -4.2387 6.3561
O -1.3161 0.8943 4.2606
O 1.4327 0.6926 4.2605
O 1.4329 0.6925 10.5468


20
Lattice="2.2865 -5.8633 -0.9026 0.1699 -3.0632 5.5410 -5.8787 -0.3697 2.4064" Properties=species:S:1:pos:R:3 comment="CaCo4Cu3O12, optimized geometry, DFT PBE+U" e_form_kj_per_mol_fu=-2549 e_tot_ev_per_atom=-5.69 pbc="T T T"
Ca -3.5922 -6.2330 1.5039
Co -1.7111 -4.6481 3.5224
Co 1.1433 -2.9317 -0.4513
Co 2.3715 -7.3949 1.8679
Co -0.4829 -9.1114 5.8416
Cu -1.6261 -6.1798 6.2928
Cu -2.8544 -1.7165 3.9737
Cu 1.2282 -4.4633 2.3192
O -3.6629 -1.6787 2.2803
O 0.2406 -7.6175 4.7644
O -1.3639 -2.7165 3.4621
O -0.0888 -2.4000 1.0244
O 1.0314 -6.0529 1.3442
O -3.6764 -4.2657 3.2375
O -1.4563 -4.7497 1.6060
O -4.4537 -3.2434 5.7006
O -2.0583 -6.5797 3.5826
O -3.3335 -6.8962 6.0204
O 0.2541 -5.0305 3.8073
O -1.9660 -4.5465 5.4388


52
Lattice="-2.5351 -2.5108 7.9712 4.3765 -4.9677 -0.1729 8.7449 6.5703 4.8507" Properties=species:S:1:pos:R:3 comment="CaCo2Cu2O8, optimized geometry, DFT PBE+U" e_form_kj_per_mol_fu=-1555 e_tot_ev_per_atom=-5.49 pbc="T T T"
Ca 0.4916 -0.8571 1.4849
Ca 10.0947 -0.0510 11.1641
Ca 6.1427 -2.9198 7.4166
Ca 4.4436 2.0116 5.2324
Co 6.5977 3.8859 7.7828
Co 3.3213 1.6863 1.9111
Co 3.5543 -2.3649 1.3220
Co 7.2650 -2.5945 10.7379
Co 7.0320 1.4567 11.3270
Co 3.4308 -1.0646 6.4765
Co 7.1555 0.1564 6.1725
Co 3.9886 -4.7941 4.8662
Cu 10.3981 1.5758 5.6540
Cu 7.1744 2.1221 3.3739
Cu 3.4119 -3.0303 9.2751
Cu 0.1882 -2.4840 6.9950
Cu 5.7388 -1.9935 4.1306
Cu 1.7589 -2.1960 4.2281
Cu 4.8475 1.0853 8.5184
Cu 8.8274 1.2879 8.4209
O 2.7772 1.8859 3.6073
O 5.6630 -1.8607 10.7450
O 3.5933 0.6752 7.0358
O 3.4132 -4.0835 0.6954
O 7.0108 5.0335 6.4693
O 7.8091 -2.7941 9.0417
O 5.6873 3.2775 3.6438
O 1.1504 -3.9670 7.7625
O 6.3018 0.0896 7.7386
O 5.5749 0.9142 10.3111
O 8.8148 0.8991 6.5526
O 9.4359 3.0588 4.8865
O 4.8990 -4.1857 9.0052
O 5.1021 -3.6072 5.3120
O 6.5135 1.1191 4.8262
O 2.1464 -2.1607 2.3839
O 2.3573 0.6476 0.9951
O 4.2845 -0.9978 4.9104
O 5.4842 2.6990 7.3370
O 6.9930 -1.5834 5.6132
O 2.5378 -3.9105 4.3977
O 5.0114 -1.8224 2.3379
O 3.5755 -5.9417 6.1797
O 0.4726 -0.8418 3.8666
O 7.1731 3.1753 11.9536
O 8.4399 1.2526 10.2651
O 4.9233 0.9525 1.9040
O 8.0485 3.0023 8.2512
O 10.1137 -0.0664 8.7824
O 4.0728 -2.0273 7.8228
O 1.7715 -1.8073 6.0964
O 8.2290 -1.5558 11.6539


144
Lattice="-0.4029 9.0266 6.1212 -4.3460 -5.8873 8.2132 16.7793 -4.6624 -1.7184" Properties=species:S:1:pos:R:3 comment="Sr6Ca2Co5Cu3O20, optimized geometry, DFT PBE+U" e_form_kj_per_mol_fu=-7054 e_tot_ev_per_atom=-5.89 pbc="T T T"
Sr 9.9220 -0.3880 1.3151
Sr 7.7639 -3.3774 5.4230
Sr 9.6860 4.0383 4.3859
Sr 7.5824 1.1660 8.4532
Sr 4.5273 -2.6199 4.1305
Sr 12.8870 -4.9810 3.2994
Sr 2.3386 -5.5614 8.2547
Sr 4.2955 1.8893 7.1942
Sr 12.6929 -0.4568 6.3684
Sr 2.1064 -1.1055 11.3026
Sr 10.5403 -3.4080 10.4561
Sr 0.5600 -1.7684 2.5877
Sr 8.9520 -4.1296 1.7890
Sr 6.7896 -7.0770 5.9445
Sr 8.7285 0.4103 4.8397
Sr -1.8037 -0.2608 9.8592
Sr 6.5805 -2.5803 8.9670
Sr 5.4324 1.0719 3.6558
Sr 13.8809 -1.2638 2.7819
Sr 3.2591 -1.8994 7.7665
Sr 11.7131 -4.2448 6.9252
Sr 5.2100 5.5666 6.6749
Sr 13.6600 3.2459 5.8519
Sr 3.0505 2.6237 10.8669
Ca 1.4051 1.8732 2.1683
Ca -0.7731 -1.1399 6.2844
Ca 1.2206 6.3616 5.1825
Ca -0.9709 3.3856 9.3535
Ca 10.8449 -7.9011 7.3955
Ca -1.6718 -4.6721 6.6783
Ca 0.3242 2.7546 5.5422
Ca 11.5419 0.2532 10.1013
Co -4.3330 -5.8547 8.2265
Co 4.0361 -8.2028 7.3607
Co -2.1670 -2.9281 4.1300
Co 6.2706 -5.2743 3.2680
Co -0.1574 4.5285 3.0773
Co 3.8304 -3.6905 10.4087
Co -2.3477 1.6014 7.1722
Co 6.0186 -0.7401 6.3195
Co -1.1195 0.8264 3.6024
Co 7.3196 -1.5222 2.7494
Co -3.3041 -2.1862 7.7342
Co 5.1114 -4.4920 6.8661
Co -1.3300 5.3272 6.6639
Co 6.9673 2.9818 5.7645
Co -3.4996 2.3770 10.8162
Co 4.9349 -0.0059 9.9530
Co 3.6619 -0.6568 0.9681
Co 1.4857 -3.6835 5.1109
Co 1.2798 0.8779 8.1315
Co 1.9993 4.1920 8.0929
Cu 12.1552 -3.0350 0.2301
Cu 9.9639 -6.0793 4.3784
Cu 3.4606 3.7548 4.1115
Cu 11.9304 1.4845 3.3364
Cu 9.7377 -1.4545 7.4533
Cu 2.2361 -0.2799 5.0935
Cu 10.7317 -2.5574 4.2505
Cu 0.0423 -3.2946 9.1607
Cu 8.5992 -5.5623 8.3115
Cu 10.5345 1.9324 7.3444
Cu -0.1106 1.3976 12.2773
Cu 8.3726 -0.9303 11.3977
O 7.6917 -1.9345 1.0047
O 16.0632 -4.2112 0.1257
O 5.5137 -4.8345 5.0995
O 13.8521 -7.1756 4.2556
O 7.5094 2.5681 3.9814
O 15.9293 0.2368 3.2268
O 5.3166 -0.3014 8.1871
O 13.7151 -2.6146 7.3296
O -1.5690 -1.2027 3.9433
O 6.7423 -3.5169 3.0286
O -3.7244 -4.0931 8.0296
O 4.5955 -6.3588 7.1287
O -1.6905 3.2973 6.9801
O 6.5832 1.1478 6.0599
O -3.9286 0.4583 11.1183
O 4.3851 -1.8946 10.1739
O 7.6464 0.3941 2.4060
O 16.0490 -1.9315 1.5097
O 5.4529 -2.5868 6.5259
O 13.9439 -4.8183 5.6661
O 7.4252 4.7988 5.5102
O 15.8604 2.5993 4.5917
O 5.2558 2.0405 9.6073
O 13.6838 -0.2923 8.7795
O -1.5644 1.1216 5.3624
O 6.6833 -1.1875 4.4401
O -3.8157 -1.8120 9.4518
O 4.5136 -4.0992 8.5663
O -1.7782 5.5731 8.4372
O 6.4448 3.3633 7.5822
O -3.9844 2.7669 12.5549
O 4.3002 0.4111 11.6274
O 1.8957 -0.3355 1.0750
O 10.3198 -2.7501 0.0184
O -0.2993 -3.3681 5.2640
O 8.1277 -5.7749 4.1504
O 1.6202 4.0862 4.0400
O 10.0969 1.7319 3.1213
O -0.4679 1.1655 8.3136
O 7.8982 -1.2312 7.2302
O 4.0863 -0.2059 5.5104
O 12.5841 -2.4987 4.6024
O 1.8900 -3.1746 9.5987
O 10.4203 -5.4547 8.7438
O 3.7534 4.3597 8.4630
O 12.3641 2.0139 7.6454
O 1.7209 1.3607 12.6948
O 10.1967 -0.8315 11.7626
O 0.8935 0.6689 4.1650
O 9.2503 -1.7951 3.3525
O -1.3316 -2.3681 8.2440
O 7.0946 -4.7935 7.4602
O 0.7916 5.1886 7.1830
O 9.0494 2.6967 6.5284
O -1.4915 2.2739 11.3713
O 6.8704 -0.2093 10.5362
O 4.9814 -1.1049 2.0743
O 13.5533 -3.5103 1.3557
O 2.8199 -4.1194 6.2290
O 11.3844 -6.4852 5.5128
O 4.9613 3.3084 5.1471
O 13.3940 0.9910 4.4000
O 2.6002 0.4559 9.2613
O 11.1782 -1.8278 8.5650
O 3.5674 2.4331 2.7227
O 12.2314 0.3232 1.8680
O 1.3822 -0.4841 6.8368
O 10.0489 -2.6515 6.0503
O 3.3578 7.0455 5.7939
O 11.9639 4.7649 4.9785
O 1.2012 4.0130 9.8404
O 9.9011 1.6147 9.2147
O 2.1587 -2.0631 4.3677
O 10.5371 -4.3615 3.7143
O -0.0579 -5.0039 8.2631
O 8.6279 -7.2994 7.5696
O 1.8748 2.4708 7.2395
O 10.3489 0.2097 6.6756
O -0.2483 -0.4297 11.7622
O 8.2110 -2.7190 10.8557